# Li2TeWO6

A relaxed Li2TeWO6 crystal (PBE+U, the Materials Project).

abc: 13.1079 5.4757 8.6962
angles: 54.93 90.00 90.00
Positions (direct):
Li 0.5664 0.4552 0.7389
Li 0.9336 0.4552 0.2389
Li 0.4336 0.5448 0.2611
Li 0.0664 0.5448 0.7611
Li 0.3556 0.7640 0.4793
Li 0.1444 0.7640 0.9793
Li 0.6444 0.2360 0.5207
Li 0.8556 0.2360 0.0207
Te 0.7022 0.6813 0.0697
Te 0.7978 0.6813 0.5697
Te 0.2978 0.3187 0.9303
Te 0.2022 0.3187 0.4303
W 0.5957 0.0265 0.2556
W 0.9043 0.0265 0.7556
W 0.4043 0.9735 0.7444
W 0.0957 0.9735 0.2444
O 0.4798 0.8089 0.3372
O 0.0202 0.8089 0.8372
O 0.5202 0.1911 0.6628
O 0.9798 0.1911 0.1628
O 0.5937 0.1873 0.0068
O 0.9063 0.1873 0.5068
O 0.4063 0.8127 0.9932
O 0.0937 0.8127 0.4932
O 0.5571 0.3483 0.2600
O 0.9429 0.3483 0.7600
O 0.4429 0.6517 0.7400
O 0.0571 0.6517 0.2400
O 0.6939 0.6933 0.2908
O 0.8061 0.6933 0.7908
O 0.3061 0.3067 0.7092
O 0.1939 0.3067 0.2092
O 0.8426 0.8293 0.0309
O 0.6574 0.8293 0.5309
O 0.1574 0.1707 0.9691
O 0.3426 0.1707 0.4691
O 0.7483 0.2793 0.1920
O 0.7517 0.2793 0.6920
O 0.2517 0.7207 0.8080
O 0.2483 0.7207 0.3080

Spin magnetization in μB per atom: 0.0000
VASP energy in Ry/atom: -0.455
Corrected total energy (MP2020 scheme) in eV for the cell shown: -281.95
Energy of formation from the pure elements in eV per atom: -2.088